## P
Here is Ba8Bi4O17 after structural relaxation from Materials Project. Energies are from PBE.

Theoretical density, g/cm3: 6.6
V, Å³/atom: 19.04
Space group: Cm, No. 8

a b c (Å): 11.061 11.061 6.398
angles (deg): 73.81 73.81 47.80
Element x y z (fractional)
O 0.425 0.425 0.375
O 0.907 0.907 0.870
Ba 0.961 0.417 0.829
O 0.067 0.067 0.693
O 0.748 0.748 0.451
Bi 0.997 0.997 0.015
O 0.420 0.854 0.260
Bi 0.835 0.835 0.673
Bi 0.667 0.667 0.317
O 0.092 0.580 0.681
O 0.721 0.721 0.966
Ba 0.166 0.166 0.343
O 0.753 0.221 0.002
Bi 0.343 0.343 0.677
Ba 0.759 0.237 0.541
Ba 0.237 0.759 0.541
Ba 0.525 0.525 0.013
O 0.257 0.257 0.971
O 0.918 0.918 0.345
O 0.412 0.412 0.871
Ba 0.417 0.961 0.829
O 0.266 0.266 0.508
O 0.854 0.420 0.260
O 0.578 0.578 0.597
O 0.075 0.075 0.160
Ba 0.587 0.119 0.169
Ba 0.119 0.587 0.169
O 0.221 0.753 0.002
O 0.580 0.092 0.681


## Q
Here is Ba8Bi4O17 after structural relaxation from Materials Project. Energies are from PBE.

Theoretical density, g/cm3: 6.5
V, Å³/atom: 19.52
Space group: I4mm, No. 107

a b c (Å): 6.418 19.345 17.084
angles (deg): 19.02 55.70 60.16
Element x y z (fractional)
O 0.757 0.243 0.757
O 0.243 0.414 0.757
Bi 0.995 0.332 0.005
O 0.300 0.914 0.700
O 0.858 0.472 0.142
Bi 0.981 0.994 0.019
O 0.770 0.257 0.230
O 0.754 0.918 0.246
Ba 0.496 0.165 0.504
Bi 0.004 0.668 0.996
Ba 0.678 0.059 0.822
O 0.245 0.105 0.220
Bi 0.473 0.491 0.527
Ba 0.205 0.902 0.295
O 0.757 0.757 0.243
Ba 0.178 0.559 0.322
Ba 0.742 0.747 0.758
O 0.245 0.570 0.755
O 0.243 0.757 0.243
O 0.775 0.592 0.225
O 0.780 0.105 0.220
O 0.243 0.243 0.757
Ba 0.242 0.247 0.258
O 0.216 0.072 0.784
O 0.300 0.472 0.142
O 0.858 0.914 0.700
O 0.780 0.570 0.755
Ba 0.459 0.820 0.541
Ba 0.705 0.402 0.795


Most stable: P. Least stable: Q.


## P
Here is Ba4BiPb3O12 after structural relaxation from Materials Project. Energies are from PBE.

Theoretical density, g/cm3: 7.8
V, Å³/atom: 16.69
Space group: P2/m, No. 10

a b c (Å): 6.156 6.224 8.713
angles (deg): 89.98 90.00 90.00
Element x y z (fractional)
Ba 0.000 0.505 0.753
O 0.500 0.565 0.251
O 0.749 0.748 0.535
O 0.251 0.251 0.038
Bi 0.500 0.500 0.500
O 0.251 0.748 0.535
O 0.749 0.252 0.465
O 0.749 0.749 0.962
Ba 0.000 0.495 0.247
O 0.251 0.252 0.465
O 0.251 0.749 0.962
Pb 0.000 0.000 0.000
Pb 0.500 0.500 0.000
O 0.000 0.065 0.752
O 0.749 0.251 0.038
O 0.500 0.435 0.749
O 0.000 0.935 0.248
Ba 0.500 0.006 0.247
Ba 0.500 0.994 0.753
Pb 0.000 0.000 0.500


## Q
Here is Ba4BiPb3O12 after structural relaxation from Materials Project. Energies are from PBE.

Theoretical density, g/cm3: 7.8
V, Å³/atom: 16.74
Space group: P4/mmm, No. 123

a b c (Å): 4.369 4.369 17.542
angles (deg): 90.00 90.00 90.00
Element x y z (fractional)
O 0.000 0.500 0.500
Ba 0.500 0.500 0.377
O 0.000 0.500 0.000
O 0.500 0.000 0.000
O 0.000 0.000 0.876
O 0.000 0.000 0.625
O 0.500 0.000 0.247
Pb 0.000 0.000 0.251
Ba 0.500 0.500 0.623
O 0.000 0.500 0.753
Bi 0.000 0.000 0.000
O 0.000 0.500 0.247
O 0.000 0.000 0.375
O 0.500 0.000 0.500
Ba 0.500 0.500 0.869
Pb 0.000 0.000 0.749
Pb 0.000 0.000 0.500
O 0.000 0.000 0.124
Ba 0.500 0.500 0.131
O 0.500 0.000 0.753


Most stable: P. Least stable: Q.


## P
Here is BaSrPrBiO6 after structural relaxation from Materials Project. Energies are from PBE.

Theoretical density, g/cm3: 6.4
V, Å³/atom: 17.36
Space group: F-43m, No. 216

a b c (Å): 6.262 6.262 6.262
angles (deg): 60.00 60.00 60.00
Element x y z (fractional)
O 0.239 0.239 0.761
O 0.761 0.761 0.239
Ba 0.750 0.750 0.750
O 0.761 0.239 0.761
Pr 0.500 0.500 0.500
O 0.239 0.761 0.239
O 0.761 0.239 0.239
O 0.239 0.761 0.761
Bi 0.000 0.000 0.000
Sr 0.250 0.250 0.250


## Q
Here is BaSrPrBiO6 after structural relaxation from Materials Project. Energies are from PBE.

Theoretical density, g/cm3: 6.6
V, Å³/atom: 17.00
Space group: P222, No. 16

a b c (Å): 8.792 8.800 8.791
angles (deg): 90.00 90.00 90.00
Element x y z (fractional)
Pr 0.747 0.749 0.251
O 0.291 0.988 0.209
O 0.291 0.012 0.791
O 0.787 0.487 0.297
O 0.512 0.701 0.788
O 0.704 0.791 0.513
Ba 0.000 0.000 0.500
O 0.218 0.282 0.989
O 0.782 0.282 0.011
O 0.782 0.718 0.989
Pr 0.253 0.251 0.251
O 0.213 0.513 0.297
Sr 0.500 0.000 0.000
Ba 0.500 0.500 0.500
O 0.987 0.785 0.722
O 0.709 0.988 0.791
Ba 0.000 0.000 0.000
O 0.704 0.209 0.487
O 0.218 0.718 0.011
O 0.488 0.299 0.788
Bi 0.253 0.251 0.750
Ba 0.000 0.500 0.000
Bi 0.253 0.749 0.250
O 0.013 0.785 0.278
O 0.987 0.215 0.278
Bi 0.747 0.251 0.250
Pr 0.747 0.251 0.749
O 0.013 0.215 0.722
Bi 0.747 0.749 0.750
Pr 0.253 0.749 0.749
Sr 0.000 0.500 0.500
O 0.512 0.299 0.212
O 0.709 0.012 0.209
O 0.296 0.791 0.487
O 0.787 0.513 0.703
O 0.213 0.487 0.703
Sr 0.500 0.000 0.500
O 0.296 0.209 0.513
O 0.488 0.701 0.212
Sr 0.500 0.500 0.000


Most stable: Q. Least stable: P.


## P
Here is Ba2TaBiO6 after structural relaxation from Materials Project. Energies are from PBE.

Theoretical density, g/cm3: 7.7
V, Å³/atom: 16.39
Space group: Fm-3m, No. 225

a b c (Å): 6.143 6.143 6.143
angles (deg): 60.00 60.00 60.00
Element x y z (fractional)
O 0.731 0.269 0.269
Bi 0.000 0.000 0.000
Ta 0.500 0.500 0.500
O 0.731 0.269 0.731
O 0.269 0.269 0.731
O 0.269 0.731 0.731
Ba 0.250 0.250 0.250
Ba 0.750 0.750 0.750
O 0.731 0.731 0.269
O 0.269 0.731 0.269


## Q
Here is Ba2TaBiO6 after structural relaxation from Materials Project. Energies are from PBE.

Theoretical density, g/cm3: 7.8
V, Å³/atom: 16.25
Space group: C2/m, No. 12

a b c (Å): 6.105 6.105 6.167
angles (deg): 59.99 59.99 60.02
Element x y z (fractional)
O 0.235 0.699 0.805
Ba 0.751 0.751 0.245
O 0.729 0.729 0.711
Ba 0.249 0.249 0.755
O 0.301 0.765 0.195
O 0.699 0.235 0.805
Bi 0.000 0.000 0.500
Ta 0.500 0.500 0.000
O 0.765 0.301 0.195
O 0.271 0.271 0.289


Most stable: Q. Least stable: P.


## P
Here is Ba3BiP after structural relaxation from Materials Project. Energies are from PBE.

Theoretical density, g/cm3: 4.7
V, Å³/atom: 46.35
Space group: Pm-3m, No. 221

a b c (Å): 6.142 6.142 6.142
angles (deg): 90.00 90.00 90.00
Element x y z (fractional)
Ba 0.000 0.500 0.500
P 0.500 0.500 0.500
Ba 0.500 0.000 0.500
Bi 0.000 0.000 0.000
Ba 0.500 0.500 0.000


## Q
Here is Ba3BiP after structural relaxation from Materials Project. Energies are from PBE.

Theoretical density, g/cm3: 3.8
V, Å³/atom: 56.54
Space group: Pm-3m, No. 221

a b c (Å): 6.563 6.563 6.563
angles (deg): 90.00 90.00 90.00
Element x y z (fractional)
Ba 0.500 0.000 0.500
P 0.000 0.000 0.000
Ba 0.000 0.500 0.500
Bi 0.500 0.500 0.500
Ba 0.500 0.500 0.000


Most stable: P. Least stable: Q.


## P
Here is Ba4Br6O after structural relaxation from Materials Project. Energies are from PBE.

Largest piezoelectric modulus, C/m²: 0.22
Theoretical density, g/cm3: 4.5
V, Å³/atom: 35.00
Space group: P6_3mc, No. 186

a b c (Å): 10.517 10.517 8.039
angles (deg): 90.00 90.00 120.00
Element x y z (fractional)
Br 0.142 0.858 0.393
Br 0.531 0.469 0.208
Ba 0.199 0.801 0.001
Br 0.858 0.142 0.893
Br 0.858 0.715 0.893
Br 0.469 0.938 0.708
Br 0.531 0.062 0.208
Ba 0.801 0.199 0.501
O 0.333 0.667 0.100
Br 0.285 0.142 0.893
Ba 0.333 0.667 0.419
Ba 0.398 0.199 0.501
Ba 0.602 0.801 0.001
Br 0.062 0.531 0.708
Ba 0.801 0.602 0.501
Br 0.715 0.858 0.393
Br 0.469 0.531 0.708
Ba 0.667 0.333 0.919
Br 0.142 0.285 0.393
Br 0.938 0.469 0.208
O 0.667 0.333 0.600
Ba 0.199 0.398 0.001


## Q
Here is Ba4Br6O after structural relaxation from Materials Project. Energies are from PBE.

Theoretical density, g/cm3: 4.3
V, Å³/atom: 36.67
Space group: P4_2/nmc, No. 137

a b c (Å): 10.219 10.219 7.724
angles (deg): 90.00 90.00 90.00
Element x y z (fractional)
Br 0.295 0.295 0.500
Br 0.000 0.500 0.589
Ba 0.268 0.500 0.836
Ba 0.500 0.732 0.164
Br 0.295 0.705 0.500
Br 0.795 0.205 0.000
Ba 0.000 0.768 0.336
Ba 0.000 0.232 0.336
O 0.000 0.000 0.500
Br 0.205 0.795 0.000
Br 0.000 0.500 0.089
Br 0.705 0.295 0.500
Br 0.705 0.705 0.500
Ba 0.732 0.500 0.836
Br 0.500 0.000 0.411
Br 0.500 0.000 0.911
Ba 0.232 0.000 0.664
Br 0.205 0.205 0.000
O 0.500 0.500 0.000
Br 0.795 0.795 0.000
Ba 0.768 0.000 0.664
Ba 0.500 0.268 0.164


Most stable: P. Least stable: Q.


## P
Here is Ba3Br2O2 after structural relaxation from Materials Project. Energies are from PBE.

Theoretical density, g/cm3: 4.2
V, Å³/atom: 34.04
Space group: Pnma, No. 62

a b c (Å): 6.367 7.585 19.739
angles (deg): 90.00 90.00 90.00
Element x y z (fractional)
Br 0.750 0.082 0.559
Ba 0.750 0.049 0.159
Br 0.250 0.274 0.727
Ba 0.250 0.694 0.109
O 0.500 0.080 0.921
Br 0.250 0.582 0.941
Ba 0.750 0.451 0.659
Br 0.750 0.726 0.273
O 0.500 0.920 0.079
Ba 0.250 0.347 0.522
Ba 0.250 0.549 0.341
Ba 0.250 0.806 0.609
Br 0.250 0.918 0.441
O 0.000 0.420 0.421
Ba 0.250 0.153 0.022
O 0.500 0.420 0.421
O 0.000 0.920 0.079
O 0.000 0.580 0.579
Ba 0.750 0.306 0.891
Ba 0.250 0.951 0.841
Br 0.750 0.774 0.773
O 0.000 0.080 0.921
Ba 0.750 0.653 0.478
Br 0.250 0.226 0.227
Ba 0.750 0.194 0.391
O 0.500 0.580 0.579
Ba 0.750 0.847 0.978
Br 0.750 0.418 0.059


## Q
Here is Ba3Br2O2 after structural relaxation from Materials Project. Energies are from PBE.

Theoretical density, g/cm3: 4.1
V, Å³/atom: 35.30
Space group: Pnma, No. 62

a b c (Å): 6.479 11.057 13.797
angles (deg): 90.00 90.00 90.00
Element x y z (fractional)
Ba 0.250 0.571 0.436
O 0.002 0.115 0.921
O 0.998 0.615 0.579
Ba 0.250 0.878 0.208
Ba 0.750 0.429 0.564
Ba 0.750 0.378 0.292
Br 0.750 0.818 0.795
Br 0.250 0.893 0.457
Ba 0.250 0.622 0.708
O 0.498 0.115 0.921
O 0.502 0.615 0.579
O 0.998 0.885 0.079
Ba 0.250 0.280 0.954
Br 0.750 0.682 0.295
Br 0.250 0.318 0.705
Ba 0.250 0.929 0.936
Ba 0.750 0.720 0.046
Br 0.750 0.393 0.043
O 0.498 0.385 0.421
O 0.002 0.385 0.421
O 0.502 0.885 0.079
Br 0.250 0.182 0.205
Ba 0.750 0.780 0.546
Ba 0.750 0.071 0.064
Br 0.750 0.107 0.543
Ba 0.750 0.122 0.792
Ba 0.250 0.220 0.454
Br 0.250 0.607 0.957


Most stable: Q. Least stable: P.